! GGA-PBE NaCu5S3, optimized geometry; values from VASP
&SYSTEM
  ibrav = 0, nat = 18, ntyp = 3
/
ATOMIC_SPECIES
Na 22.99 Na.upf
Cu 63.55 Cu.upf
S 32.06 S.upf
CELL_PARAMETERS angstrom
7.1465 0.0000 0.0000
-3.5732 6.1890 0.0000
0.0000 0.0000 6.9836
ATOMIC_POSITIONS crystal
Na 0.0000 0.0000 0.2500
Na 0.0000 0.0000 0.7500
Cu 0.2153 0.4306 0.2500
Cu 0.2153 0.7847 0.2500
Cu 0.3333 0.6667 0.5517
Cu 0.3333 0.6667 0.9483
Cu 0.4306 0.2153 0.7500
Cu 0.5694 0.7847 0.2500
Cu 0.6667 0.3333 0.0517
Cu 0.6667 0.3333 0.4483
Cu 0.7847 0.2153 0.7500
Cu 0.7847 0.5694 0.7500
S 0.0000 0.3436 0.5000
S 0.0000 0.6564 0.0000
S 0.3436 0.0000 0.5000
S 0.3436 0.3436 0.0000
S 0.6564 0.0000 0.0000
S 0.6564 0.6564 0.5000
! Symmetry: No. 182
! Magnetization: 0.0 μB/f.u.
! Formation enthalpy at 0 K: -327 meV/atom